Entry 1:
CoSeO3 | PBE+U | relaxed

```
CoSeO3
1.0
6.0151 0.0000 0.0000
0.0000 7.6608 0.0000
0.0000 0.0000 5.0918
Co Se O
4 4 12
direct
0.0000 0.0000 0.0000
0.0000 0.5000 0.0000
0.5000 0.0000 0.5000
0.5000 0.5000 0.5000
0.0225 0.2500 0.4827
0.4775 0.7500 0.9827
0.5225 0.2500 0.0173
0.9775 0.7500 0.5173
0.0691 0.2500 0.8235
0.1853 0.0759 0.3642
0.1853 0.4241 0.3642
0.3147 0.5759 0.8642
0.3147 0.9241 0.8642
0.4309 0.7500 0.3235
0.5691 0.2500 0.6765
0.6853 0.0759 0.1358
0.6853 0.4241 0.1358
0.8147 0.5759 0.6358
0.8147 0.9241 0.6358
0.9309 0.7500 0.1765
```

Values from the calculation:
- Energy: -112.72 eV for the cell shown
- Space group: Pnma
- Energy relative to the elements: -1.286 eV/atom
- Volume: 58.7 Å³/f.u.

***

Entry 2:
Li6V3P8O29 | PBE+U | relaxed

```
Li6V3P8O29
1.0
9.8329 0.0000 0.0000
4.9147 8.5202 0.0000
0.0289 -0.0148 13.8638
Li V P O
12 6 16 58
direct
0.0000 0.0000 0.0000
0.0000 0.1329 0.4999
0.3455 0.8941 0.3218
0.3462 0.8926 0.8218
0.3620 0.3182 0.3795
0.3622 0.4526 0.8797
0.4560 0.1339 0.0016
0.4560 0.5430 0.5016
0.5976 0.5368 0.9998
0.5977 0.9983 0.4999
0.7807 0.4506 0.3795
0.7807 0.9014 0.8794
0.1107 0.2308 0.6940
0.1109 0.7907 0.1943
0.2473 0.6579 0.6882
0.2477 0.2273 0.1882
0.6855 0.6562 0.1872
0.6854 0.7910 0.6877
0.0012 0.1364 0.2830
0.0014 0.9952 0.7828
0.0173 0.5552 0.3145
0.0172 0.5600 0.8143
0.3484 0.8907 0.0659
0.3483 0.8936 0.5659
0.3627 0.3112 0.5965
0.3626 0.4590 0.0964
0.4530 0.1349 0.7812
0.4529 0.5451 0.2812
0.5924 0.9946 0.2836
0.5926 0.5455 0.7836
0.7694 0.4560 0.5982
0.7692 0.9082 0.0981
0.9144 0.3093 0.0968
0.9142 0.9093 0.5965
0.0174 0.4118 0.7682
0.0184 0.7033 0.2679
0.0210 0.1399 0.7798
0.0206 0.5544 0.4216
0.0207 0.5584 0.9215
0.0206 0.9724 0.2802
0.0655 0.7488 0.6139
0.0657 0.3184 0.1140
0.1678 0.1152 0.2648
0.1677 0.8499 0.7649
0.1704 0.5542 0.7725
0.1709 0.4082 0.2728
0.1973 0.0412 0.6059
0.1975 0.8938 0.1062
0.2053 0.3194 0.6140
0.2049 0.6075 0.1135
0.3092 0.1119 0.7659
0.3093 0.7118 0.2664
0.3491 0.4745 0.5979
0.3498 0.3087 0.0980
0.3504 0.8915 0.4572
0.3500 0.8907 0.9572
0.3543 0.0388 0.1041
0.3542 0.7397 0.6044
0.4261 0.1440 0.2795
0.4262 0.5627 0.7797
0.4397 0.2255 0.8714
0.4400 0.4676 0.3714
0.4429 0.2221 0.5064
0.4431 0.4678 0.0065
0.4732 0.2226 0.6894
0.4732 0.4373 0.1894
0.4973 0.7374 0.1043
0.4976 0.8977 0.6045
0.5711 0.7113 0.7643
0.5710 0.8504 0.2643
0.6025 0.9700 0.7814
0.6026 0.5609 0.2811
0.6764 0.9859 0.3739
0.6769 0.4706 0.8740
0.6799 0.4709 0.5072
0.6797 0.9821 0.0071
0.6806 0.0152 0.1903
0.6807 0.4370 0.6904
0.7685 0.4765 0.0980
0.7682 0.8885 0.5981
0.7792 0.6064 0.6162
0.7785 0.7478 0.1165
0.8693 0.7108 0.7731
0.8701 0.5526 0.2732
0.8900 0.0111 0.6940
0.8898 0.2320 0.1941
0.9224 0.9950 0.5109
0.9226 0.2155 0.0110
0.9275 0.2274 0.3735
0.9275 0.9784 0.8735
0.9333 0.3093 0.5980
0.9332 0.8904 0.0976
```

Values from the calculation:
- Energy: -644.40 eV for the cell shown
- Space group: P1
- Energy relative to the elements: -2.646 eV/atom
- ΔE to the lowest computed polymorph: 16 meV/atom
- Volume: 580.7 Å³/f.u.

***

Entry 3:
Li4Co3O7 | PBE+U | relaxed

```
Li4Co3O7
1.0
2.5486 -10.1695 0.0000
2.5486 10.1695 0.0000
-1.7487 0.0000 4.8569
Li Co O
8 6 14
direct
0.0000 0.0000 0.0000
0.0688 0.9312 0.5000
0.2137 0.7863 0.5000
0.3568 0.6432 0.5000
0.5000 0.5000 0.5000
0.6432 0.3568 0.5000
0.7863 0.2137 0.5000
0.9312 0.0688 0.5000
0.1397 0.8603 0.0000
0.2852 0.7148 0.0000
0.4299 0.5701 0.0000
0.5701 0.4299 0.0000
0.7148 0.2852 0.0000
0.8603 0.1397 0.0000
0.0217 0.4501 0.2264
0.1169 0.4031 0.7700
0.1785 0.3306 0.2254
0.2769 0.2769 0.7660
0.3306 0.1785 0.2254
0.4031 0.1169 0.7700
0.4501 0.0217 0.2264
0.5499 0.9783 0.7736
0.5969 0.8831 0.2300
0.6694 0.8215 0.7746
0.7231 0.7231 0.2340
0.8215 0.6694 0.7746
0.8831 0.5969 0.2300
0.9783 0.5499 0.7736
```

Values from the calculation:
- Energy: -155.33 eV for the cell shown
- Space group: C2/m
- Energy relative to the elements: -1.700 eV/atom
- ΔE to the lowest computed polymorph: 11 meV/atom
- Volume: 125.9 Å³/f.u.